[1]
VASP calculation (PBE) on crystalline Ti17N6O24 at its relaxed geometry.

E_form: -3.008 eV/atom
energy above the lowest structure with this stoichiometry: 0.06 eV per formula unit
spin magnetization: 0.0 Bohr magnetons per cell
energy: -9.10 eV per atom
calculated volume: 1112.9 Å³/cell

a b c (Å): 10.400 10.712 10.738
angles (deg): 108.54 97.53 95.30
Atoms (fractional coordinates):
O  0.480  0.055  0.618
O  0.861  0.076  0.051
O  0.520  0.945  0.382
Ti  0.122  0.853  0.250
Ti  0.790  0.305  0.555
Ti  0.145  0.572  0.073
O  0.748  0.875  0.438
Ti  0.292  0.312  0.571
O  0.584  0.793  0.565
O  0.353  0.083  0.062
O  0.857  0.807  0.879
Ti  0.968  0.649  0.577
Ti  0.186  0.090  0.923
O  0.521  0.418  0.064
O  0.190  0.476  0.881
Ti  0.024  0.766  0.923
O  0.019  0.419  0.063
O  0.814  0.723  0.617
O  0.309  0.523  0.117
O  0.416  0.459  0.565
Ti  0.312  0.898  0.057
Ti  0.878  0.147  0.750
O  0.751  0.126  0.564
Ti  0.712  0.816  0.751
Ti  0.872  0.025  0.423
O  0.479  0.582  0.936
O  0.810  0.524  0.119
Ti  0.353  0.430  0.928
O  0.186  0.277  0.383
O  0.024  0.145  0.881
Ti  0.128  0.975  0.577
Ti  0.377  0.150  0.750
Ti  0.545  0.484  0.749
O  0.522  0.142  0.877
O  0.976  0.855  0.119
N  0.052  0.663  0.750
O  0.584  0.541  0.435
Ti  0.041  0.480  0.749
Ti  0.210  0.695  0.445
O  0.143  0.193  0.121
O  0.149  0.391  0.621
Ti  0.455  0.516  0.251
O  0.082  0.544  0.438
N  0.231  0.021  0.750
N  0.399  0.340  0.750
Ti  0.288  0.184  0.249
O  0.252  0.125  0.562
O  0.478  0.858  0.123
N  0.430  0.327  0.250
Ti  0.032  0.351  0.423
O  0.684  0.282  0.390
N  0.769  0.979  0.250
N  0.948  0.337  0.250
Ti  0.623  0.850  0.250
O  0.139  0.924  0.949
N  0.736  0.007  0.751
Ti  0.540  0.355  0.429
Ti  0.519  0.765  0.930
Ti  0.976  0.234  0.077
Ti  0.959  0.520  0.251
N  0.570  0.673  0.750
O  0.354  0.609  0.377
Ti  0.708  0.688  0.429
Ti  0.855  0.428  0.927
O  0.687  0.750  0.065
O  0.313  0.250  0.935
O  0.647  0.917  0.938
O  0.638  0.189  0.109
O  0.249  0.874  0.436
Ti  0.647  0.570  0.072
O  0.362  0.811  0.891
O  0.416  0.207  0.435
O  0.979  0.053  0.620
O  0.691  0.477  0.883
O  0.316  0.718  0.610
O  0.021  0.947  0.380
O  0.073  0.792  0.550
Ti  0.629  0.978  0.574
O  0.187  0.750  0.063
O  0.927  0.208  0.450
Ti  0.688  0.102  0.943
N  0.601  0.660  0.250
O  0.851  0.609  0.379
O  0.918  0.456  0.562
N  0.101  0.660  0.249
N  0.264  0.993  0.249
N  0.899  0.340  0.751
O  0.981  0.581  0.937
Ti  0.481  0.235  0.070
Ti  0.814  0.910  0.077
Ti  0.460  0.645  0.571
O  0.646  0.391  0.623
Ti  0.371  0.022  0.426
O  0.813  0.250  0.937

***

[2]
VASP calculation (PBE) on crystalline Ti17N6O24 at its relaxed geometry.

E_form: -3.008 eV/atom
energy above the lowest structure with this stoichiometry: 0.05 eV per formula unit
spin magnetization: 0.8 Bohr magnetons per cell
energy: -9.10 eV per atom
calculated volume: 1114.1 Å³/cell

a b c (Å): 7.643 14.649 10.739
angles (deg): 92.68 69.15 97.49
Atoms (fractional coordinates):
Ti  0.347  0.242  0.428
Ti  0.509  0.536  0.750
O  0.137  0.301  0.877
Ti  0.842  0.867  0.750
Ti  0.689  0.905  0.074
O  0.438  0.971  0.609
O  0.605  0.538  0.059
O  0.221  0.785  0.951
Ti  0.198  0.907  0.057
O  0.919  0.795  0.560
O  0.249  0.126  0.564
Ti  0.472  0.760  0.924
O  0.862  0.699  0.120
N  0.747  0.488  0.750
O  0.267  0.301  0.618
Ti  0.644  0.428  0.926
Ti  0.688  0.573  0.424
O  0.585  0.209  0.433
N  0.420  0.180  0.250
O  0.966  0.635  0.880
O  0.764  0.301  0.623
O  0.252  0.875  0.435
O  0.937  0.875  0.064
Ti  0.320  0.428  0.574
Ti  0.987  0.092  0.572
O  0.801  0.969  0.881
O  0.911  0.548  0.451
O  0.532  0.365  0.119
O  0.634  0.301  0.882
N  0.060  0.812  0.750
N  0.414  0.156  0.750
Ti  0.324  0.797  0.250
O  0.583  0.458  0.564
O  0.933  0.969  0.619
Ti  0.158  0.760  0.576
Ti  0.308  0.091  0.930
N  0.913  0.154  0.750
N  0.274  0.522  0.250
Ti  0.646  0.760  0.576
Ti  0.524  0.242  0.072
O  0.570  0.033  0.377
Ti  0.861  0.573  0.076
Ti  0.156  0.131  0.250
O  0.769  0.207  0.064
Ti  0.809  0.092  0.928
O  0.230  0.699  0.380
Ti  0.009  0.536  0.750
Ti  0.505  0.907  0.443
O  0.898  0.459  0.936
Ti  0.984  0.760  0.924
O  0.036  0.362  0.109
N  0.087  0.846  0.250
Ti  0.828  0.426  0.557
O  0.064  0.124  0.933
O  0.067  0.032  0.382
Ti  0.175  0.573  0.424
Ti  0.350  0.573  0.076
O  0.113  0.549  0.049
Ti  0.674  0.203  0.750
O  0.298  0.971  0.891
O  0.400  0.365  0.381
O  0.368  0.699  0.120
O  0.104  0.635  0.620
Ti  0.026  0.243  0.070
Ti  0.846  0.243  0.430
O  0.414  0.539  0.440
O  0.594  0.635  0.620
O  0.422  0.785  0.549
O  0.728  0.795  0.941
Ti  0.135  0.426  0.943
Ti  0.825  0.797  0.250
O  0.895  0.362  0.391
Ti  0.488  0.091  0.570
O  0.396  0.458  0.936
N  0.737  0.522  0.250
N  0.586  0.846  0.250
O  0.699  0.032  0.118
O  0.269  0.209  0.067
N  0.247  0.488  0.750
O  0.564  0.126  0.936
Ti  0.659  0.131  0.250
O  0.472  0.635  0.880
O  0.084  0.207  0.436
N  0.919  0.178  0.250
O  0.739  0.699  0.380
Ti  0.177  0.203  0.750
O  0.197  0.033  0.123
Ti  0.013  0.905  0.426
O  0.082  0.459  0.565
N  0.596  0.812  0.750
Ti  0.492  0.467  0.250
O  0.750  0.875  0.436
O  0.436  0.875  0.064
O  0.748  0.124  0.567

***

[3]
VASP calculation (PBE) on crystalline Ti17N6O24 at its relaxed geometry.

E_form: -3.008 eV/atom
energy above the lowest structure with this stoichiometry: 0.06 eV per formula unit
spin magnetization: 0.0 Bohr magnetons per cell
energy: -9.10 eV per atom
calculated volume: 1113.0 Å³/cell

a b c (Å): 7.501 10.739 15.001
angles (deg): 74.21 80.27 74.20
Atoms (fractional coordinates):
Ti  0.948  0.070  0.086
Ti  0.712  0.922  0.249
O  0.499  0.937  0.688
O  0.247  0.891  0.329
N  0.350  0.750  0.146
O  0.409  0.120  0.002
Ti  0.174  0.569  0.473
N  0.979  0.250  0.011
N  0.684  0.751  0.824
N  0.650  0.250  0.854
O  0.289  0.563  0.584
Ti  0.385  0.926  0.582
Ti  0.502  0.577  0.144
O  0.623  0.563  0.750
O  0.920  0.882  0.162
O  0.288  0.563  0.084
Ti  0.826  0.431  0.527
Ti  0.113  0.750  0.109
O  0.360  0.449  0.753
O  0.674  0.623  0.539
Ti  0.164  0.426  0.193
Ti  0.827  0.429  0.026
O  0.640  0.551  0.247
Ti  0.052  0.930  0.914
Ti  0.509  0.557  0.642
O  0.831  0.068  0.479
O  0.712  0.437  0.916
O  0.077  0.122  0.337
Ti  0.829  0.578  0.306
O  0.326  0.377  0.461
O  0.008  0.619  0.206
N  0.293  0.250  0.675
Ti  0.615  0.074  0.418
O  0.749  0.120  0.171
Ti  0.173  0.571  0.974
Ti  0.171  0.422  0.694
O  0.343  0.620  0.875
O  0.591  0.880  0.998
N  0.021  0.750  0.989
Ti  0.885  0.251  0.389
O  0.676  0.618  0.039
O  0.996  0.380  0.295
O  0.588  0.882  0.496
O  0.833  0.937  0.855
O  0.711  0.437  0.416
Ti  0.288  0.078  0.751
Ti  0.055  0.930  0.412
O  0.501  0.063  0.312
O  0.412  0.118  0.504
O  0.341  0.609  0.377
Ti  0.286  0.058  0.254
Ti  0.553  0.249  0.224
N  0.020  0.750  0.491
O  0.753  0.109  0.671
Ti  0.222  0.249  0.058
O  0.165  0.936  0.022
Ti  0.611  0.077  0.914
Ti  0.115  0.749  0.611
O  0.992  0.381  0.794
O  0.835  0.064  0.978
O  0.167  0.063  0.145
O  0.923  0.878  0.663
Ti  0.836  0.574  0.807
Ti  0.491  0.443  0.358
N  0.707  0.750  0.325
Ti  0.945  0.070  0.588
O  0.080  0.118  0.838
O  0.957  0.566  0.417
N  0.648  0.251  0.342
O  0.004  0.620  0.705
O  0.657  0.380  0.125
N  0.316  0.249  0.176
O  0.169  0.063  0.644
N  0.352  0.749  0.658
O  0.659  0.391  0.623
O  0.042  0.434  0.084
O  0.169  0.932  0.521
O  0.251  0.880  0.829
Ti  0.784  0.750  0.444
Ti  0.778  0.751  0.942
Ti  0.887  0.250  0.891
Ti  0.216  0.250  0.556
Ti  0.498  0.423  0.856
O  0.043  0.434  0.583
O  0.958  0.566  0.916
Ti  0.389  0.923  0.086
O  0.494  0.050  0.820
O  0.377  0.437  0.250
O  0.831  0.937  0.356
N  0.980  0.250  0.509
Ti  0.714  0.942  0.746
O  0.506  0.950  0.180
Ti  0.447  0.751  0.776
O  0.324  0.382  0.961

***

[4]
VASP calculation (PBE) on crystalline Y6N2O5 at its relaxed geometry.

E_form: -2.978 eV/atom
spin magnetization: 0.0 Bohr magnetons per cell
energy: -8.88 eV per atom
calculated volume: 195.9 Å³/cell

a b c (Å): 5.938 5.938 7.614
angles (deg): 82.32 82.32 47.53
Atoms (fractional coordinates):
Y  0.566  0.566  0.283
Y  0.291  0.291  0.139
Y  0.146  0.146  0.577
O  0.771  0.771  0.146
N  0.358  0.358  0.425
Y  0.854  0.854  0.423
O  0.079  0.079  0.298
N  0.642  0.642  0.575
Y  0.434  0.434  0.717
O  0.229  0.229  0.854
O  0.921  0.921  0.702
O  0.500  0.500  0.000
Y  0.709  0.709  0.861

***

[5]
VASP calculation (PBE) on crystalline Zr3N2O3 at its relaxed geometry.

E_form: -2.813 eV/atom
energy above the lowest structure with this stoichiometry: 0.01 eV per formula unit
energy: -9.70 eV per atom
calculated volume: 236.7 Å³/cell

a b c (Å): 5.747 5.747 10.781
angles (deg): 90.00 90.00 138.34
Atoms (fractional coordinates):
Zr  0.808  0.192  0.250
O  0.956  0.044  0.384
Zr  0.192  0.808  0.750
O  0.044  0.956  0.884
N  0.701  0.299  0.079
Zr  0.143  0.857  0.057
O  0.754  0.246  0.750
Zr  0.143  0.857  0.443
O  0.246  0.754  0.250
O  0.956  0.044  0.116
Zr  0.857  0.143  0.943
O  0.044  0.956  0.616
N  0.299  0.701  0.921
N  0.701  0.299  0.421
N  0.299  0.701  0.579
Zr  0.857  0.143  0.557

***

[6]
VASP calculation (PBE) on crystalline Zr7N4O8 at its relaxed geometry.

E_form: -2.941 eV/atom
energy above the lowest structure with this stoichiometry: 0.04 eV per formula unit
spin magnetization: 0.0 Bohr magnetons per cell
energy: -9.64 eV per atom
calculated volume: 241.5 Å³/cell

a b c (Å): 6.231 6.289 6.487
angles (deg): 100.48 99.87 99.13
Atoms (fractional coordinates):
O  0.677  0.918  0.048
N  0.566  0.406  0.818
Zr  0.000  0.000  0.000
Zr  0.721  0.873  0.381
Zr  0.841  0.385  0.678
Zr  0.605  0.324  0.134
O  0.816  0.571  0.430
O  0.422  0.831  0.593
O  0.944  0.328  0.108
Zr  0.395  0.676  0.866
Zr  0.279  0.127  0.619
Zr  0.159  0.615  0.322
N  0.069  0.925  0.317
N  0.434  0.594  0.182
O  0.323  0.082  0.952
N  0.931  0.075  0.683
O  0.184  0.429  0.570
O  0.056  0.672  0.892
O  0.578  0.169  0.407

***

Repeat the fourth record exactly.
VASP calculation (PBE) on crystalline Y6N2O5 at its relaxed geometry.

E_form: -2.978 eV/atom
spin magnetization: 0.0 Bohr magnetons per cell
energy: -8.88 eV per atom
calculated volume: 195.9 Å³/cell

a b c (Å): 5.938 5.938 7.614
angles (deg): 82.32 82.32 47.53
Atoms (fractional coordinates):
Y  0.566  0.566  0.283
Y  0.291  0.291  0.139
Y  0.146  0.146  0.577
O  0.771  0.771  0.146
N  0.358  0.358  0.425
Y  0.854  0.854  0.423
O  0.079  0.079  0.298
N  0.642  0.642  0.575
Y  0.434  0.434  0.717
O  0.229  0.229  0.854
O  0.921  0.921  0.702
O  0.500  0.500  0.000
Y  0.709  0.709  0.861

***

> The highest energy belongs to which entry?

Y6N2O5

***

> What is the formula in the first record?

Ti17N6O24